No. 1
Computed, not measured: LaOs2Rh after structural relaxation at the PBE level of DFT.

POSCAR file:
```
LaOs2Rh
1.0
1.621 0.110 4.377
-2.974 0.351 3.582
-0.682 -3.647 2.834
La Os Rh
1 2 1
Cartesian
0.000 0.000 0.000
-0.509 -0.796 2.698
-1.526 -2.389 8.095
-1.017 -1.593 5.397
```

Computed properties:
* formation energy from the elements: 0.759 eV/atom
* space group: No. 225

---

No. 2
Computed, not measured: LaSi3Os after structural relaxation at the PBE level of DFT.

POSCAR file:
```
LaSi3Os
1.0
3.235 -4.879 0.311
-1.289 -3.852 4.226
-2.909 2.962 -4.138
La Si Os
1 3 1
Cartesian
1.943 -8.722 4.533
0.812 -3.646 1.895
-1.591 -2.726 1.229
0.671 -3.239 -0.728
1.274 -5.719 2.972
```

Computed properties:
* formation energy from the elements: -0.654 eV/atom
* space group: No. 107

---

No. 3
Computed, not measured: LaP2 after structural relaxation at the PBE level of DFT.

POSCAR file:
```
LaP2
1.0
-5.586 -5.624 5.061
4.726 -6.878 -4.336
3.814 -6.213 5.015
La P
8 16
Cartesian
1.541 -10.676 2.315
2.657 -13.686 5.543
-0.283 -5.984 4.502
1.775 -3.360 -1.618
5.606 -9.344 -2.144
-1.913 -11.304 8.953
-0.074 -9.702 5.955
2.702 -7.166 -0.820
2.121 -7.520 5.742
2.595 -4.703 1.065
2.799 -9.488 5.040
1.586 -6.466 1.900
3.290 -8.034 1.991
-1.275 -4.604 1.906
3.016 -10.213 -0.650
-0.334 -12.680 6.648
3.938 -12.193 3.176
-0.707 -8.753 3.164
2.905 -13.994 2.398
-1.627 -10.568 2.283
6.436 -10.518 0.562
-3.278 -6.462 5.170
0.106 -12.405 4.491
0.884 -9.626 -0.464
```

Computed properties:
* formation energy from the elements: -1.107 eV/atom
* space group: No. 9

---

No. 4
Computed, not measured: LaP3 after structural relaxation at the PBE level of DFT.

POSCAR file:
```
LaP3
1.0
2.923 -5.062 0.000
2.923 5.062 0.000
0.000 0.000 5.392
La P
2 6
Cartesian
2.923 -1.687 1.348
2.923 1.687 4.044
2.923 -3.680 4.044
1.197 -0.691 4.044
4.648 -0.691 4.044
2.923 3.680 1.348
4.648 0.691 1.348
1.197 0.691 1.348
```

Computed properties:
* formation energy from the elements: -0.386 eV/atom
* space group: No. 194